VASP calculation (PBE) on a geometry-optimized K9Nb2As6 structure.

## Properties
Total moment: 2.00 μB per cell
Volume: 33.21 Å³ per atom
Energy of formation: -479 meV/atom

Lattice parameters (Å, degrees): 9.468 9.342 12.843 90.00 96.31 90.00
Atoms (fractional coordinates):
K 0.000 0.032 0.000
K 0.000 0.968 0.500
K 0.214 0.444 0.191
K 0.214 0.556 0.691
K 0.225 0.334 0.464
K 0.225 0.666 0.964
K 0.403 0.161 0.134
K 0.403 0.839 0.634
K 0.442 0.059 0.407
K 0.442 0.941 0.907
K 0.620 0.430 0.583
K 0.620 0.570 0.083
K 0.750 0.079 0.714
K 0.750 0.921 0.214
K 0.832 0.304 0.206
K 0.832 0.696 0.706
K 0.888 0.424 0.896
K 0.888 0.576 0.396
Nb 0.161 0.175 0.746
Nb 0.161 0.825 0.246
Nb 0.475 0.329 0.855
Nb 0.475 0.671 0.355
As 0.101 0.086 0.268
As 0.101 0.914 0.768
As 0.229 0.306 0.922
As 0.229 0.694 0.422
As 0.407 0.194 0.680
As 0.407 0.806 0.180
As 0.540 0.415 0.323
As 0.540 0.585 0.823
As 0.662 0.202 0.976
As 0.662 0.798 0.476
As 0.972 0.312 0.634
As 0.972 0.688 0.134



VASP calculation (PBE) on a geometry-optimized SiO2 structure.

## Properties
Volume: 14.03 Å³ per atom
Energy of formation: -3254 meV/atom
Maximum piezoelectric response: 0.148 C/m²

Lattice parameters (Å, degrees): 5.106 5.106 5.590 90.00 90.00 120.00
Atoms (fractional coordinates):
Si 0.000 0.500 0.167
Si 0.500 0.000 0.500
Si 0.500 0.500 0.833
O 0.208 0.417 0.000
O 0.208 0.792 0.333
O 0.417 0.208 0.667
O 0.583 0.792 0.667
O 0.792 0.208 0.333
O 0.792 0.583 0.000



VASP calculation (PBE) on a geometry-optimized AlSiP3 structure.

## Properties
Total moment: 0.00 μB per cell
Volume: 17.95 Å³ per atom
Energy of formation: -312 meV/atom

Lattice parameters (Å, degrees): 5.900 9.906 6.143 90.00 90.00 90.00
Atoms (fractional coordinates):
Al 0.000 0.000 0.000
Al 0.000 0.500 0.000
Al 0.500 0.000 0.500
Al 0.500 0.500 0.500
Si 0.000 0.250 0.437
Si 0.000 0.750 0.563
Si 0.500 0.250 0.063
Si 0.500 0.750 0.937
P 0.110 0.058 0.607
P 0.110 0.442 0.607
P 0.113 0.250 0.086
P 0.387 0.750 0.586
P 0.390 0.558 0.107
P 0.390 0.942 0.107
P 0.610 0.058 0.893
P 0.610 0.442 0.893
P 0.613 0.250 0.414
P 0.887 0.750 0.914
P 0.890 0.558 0.393
P 0.890 0.942 0.393



VASP calculation (PBE) on a geometry-optimized Na3P2H19O16 structure.

## Properties
Total moment: 0.13 μB per cell
Volume: 9.66 Å³ per atom
Energy of formation: -1651 meV/atom

Lattice parameters (Å, degrees): 6.174 31.773 8.607 90.00 113.78 90.00
Atoms (fractional coordinates):
Na 0.011 0.166 0.333
Na 0.011 0.334 0.833
Na 0.263 0.741 0.620
Na 0.263 0.759 0.120
Na 0.303 0.017 0.093
Na 0.303 0.483 0.593
Na 0.697 0.517 0.407
Na 0.697 0.983 0.907
Na 0.737 0.241 0.880
Na 0.737 0.259 0.380
Na 0.989 0.666 0.167
Na 0.989 0.834 0.667
P 0.278 0.164 0.784
P 0.278 0.336 0.284
P 0.484 0.109 0.599
P 0.484 0.391 0.099
P 0.516 0.609 0.901
P 0.516 0.891 0.401
P 0.722 0.664 0.716
P 0.722 0.836 0.216
H 0.031 0.081 0.382
H 0.031 0.419 0.882
H 0.054 0.167 0.003
H 0.054 0.333 0.503
H 0.086 0.565 0.411
H 0.086 0.935 0.911
H 0.125 0.568 0.605
H 0.125 0.932 0.105
H 0.130 0.619 0.844
H 0.130 0.881 0.344
H 0.134 0.005 0.753
H 0.134 0.495 0.253
H 0.149 0.695 0.875
H 0.149 0.805 0.375
H 0.208 0.656 0.533
H 0.208 0.844 0.033
H 0.225 0.245 0.892
H 0.225 0.255 0.392
H 0.231 0.232 0.559
H 0.231 0.268 0.059
H 0.247 0.587 0.239
H 0.247 0.913 0.739
H 0.270 0.525 0.888
H 0.270 0.975 0.388
H 0.276 0.023 0.434
H 0.276 0.477 0.934
H 0.313 0.038 0.736
H 0.313 0.462 0.236
H 0.385 0.107 0.085
H 0.385 0.393 0.585
H 0.405 0.102 0.270
H 0.405 0.398 0.770
H 0.417 0.701 0.921
H 0.417 0.799 0.421
H 0.454 0.673 0.172
H 0.454 0.827 0.672
H 0.496 0.680 0.360
H 0.496 0.820 0.860
H 0.504 0.180 0.140
H 0.504 0.320 0.640
H 0.546 0.173 0.328
H 0.546 0.327 0.828
H 0.583 0.201 0.579
H 0.583 0.299 0.079
H 0.595 0.602 0.230
H 0.595 0.898 0.730
H 0.615 0.607 0.415
H 0.615 0.893 0.915
H 0.687 0.538 0.764
H 0.687 0.962 0.264
H 0.724 0.523 0.066
H 0.724 0.977 0.566
H 0.730 0.025 0.612
H 0.730 0.475 0.112
H 0.753 0.087 0.261
H 0.753 0.413 0.761
H 0.769 0.732 0.941
H 0.769 0.768 0.441
H 0.775 0.745 0.608
H 0.775 0.755 0.108
H 0.792 0.156 0.967
H 0.792 0.344 0.467
H 0.851 0.195 0.625
H 0.851 0.305 0.125
H 0.866 0.505 0.747
H 0.866 0.995 0.247
H 0.870 0.119 0.656
H 0.870 0.381 0.156
H 0.875 0.068 0.895
H 0.875 0.432 0.395
H 0.914 0.065 0.089
H 0.914 0.435 0.589
H 0.946 0.667 0.497
H 0.946 0.833 0.997
H 0.969 0.581 0.118
H 0.969 0.919 0.618
O 0.039 0.153 0.639
O 0.039 0.347 0.139
O 0.081 0.592 0.227
O 0.081 0.675 0.468
O 0.081 0.825 0.968
O 0.081 0.908 0.727
O 0.092 0.548 0.511
O 0.092 0.952 0.011
O 0.138 0.236 0.436
O 0.138 0.264 0.936
O 0.211 0.002 0.341
O 0.211 0.498 0.841
O 0.244 0.596 0.835
O 0.244 0.904 0.335
O 0.270 0.717 0.886
O 0.270 0.783 0.386
O 0.292 0.152 0.960
O 0.292 0.348 0.460
O 0.299 0.015 0.810
O 0.299 0.485 0.310
O 0.337 0.069 0.569
O 0.337 0.431 0.069
O 0.355 0.209 0.771
O 0.355 0.291 0.271
O 0.392 0.689 0.244
O 0.392 0.811 0.744
O 0.414 0.139 0.449
O 0.414 0.361 0.949
O 0.441 0.087 0.182
O 0.441 0.413 0.682
O 0.483 0.133 0.764
O 0.483 0.367 0.264
O 0.517 0.633 0.736
O 0.517 0.867 0.236
O 0.559 0.587 0.318
O 0.559 0.913 0.818
O 0.586 0.639 0.051
O 0.586 0.861 0.551
O 0.608 0.189 0.256
O 0.608 0.311 0.756
O 0.645 0.709 0.729
O 0.645 0.791 0.229
O 0.663 0.569 0.931
O 0.663 0.931 0.431
O 0.701 0.515 0.690
O 0.701 0.985 0.190
O 0.708 0.652 0.540
O 0.708 0.848 0.040
O 0.730 0.217 0.614
O 0.730 0.283 0.114
O 0.756 0.096 0.665
O 0.756 0.404 0.165
O 0.789 0.502 0.159
O 0.789 0.998 0.659
O 0.862 0.736 0.064
O 0.862 0.764 0.564
O 0.908 0.048 0.989
O 0.908 0.452 0.489
O 0.919 0.092 0.273
O 0.919 0.175 0.032
O 0.919 0.325 0.532
O 0.919 0.408 0.773
O 0.961 0.653 0.861
O 0.961 0.847 0.361



VASP calculation (PBE) on a geometry-optimized K2Te2Pd structure.

## Properties
Total moment: 0.00 μB per cell
Volume: 38.65 Å³ per atom
Energy of formation: -718 meV/atom

Lattice parameters (Å, degrees): 7.253 7.253 7.253 147.22 106.55 82.79
Atoms (fractional coordinates):
K 0.218 0.218 0.000
K 0.782 0.782 0.000
Te 0.302 0.000 0.302
Te 0.698 0.000 0.698
Pd 0.500 0.500 0.000



VASP calculation (PBE) on a geometry-optimized Ag9P14O28F28 structure.

## Properties
Total moment: 10.30 μB per cell
Volume: 16.00 Å³ per atom
Energy of formation: -2372 meV/atom

Lattice parameters (Å, degrees): 10.118 10.460 24.768 90.00 105.31 90.00
Atoms (fractional coordinates):
Ag 0.000 0.000 0.000
Ag 0.000 0.500 0.500
Ag 0.070 0.180 0.577
Ag 0.070 0.320 0.077
Ag 0.262 0.551 0.913
Ag 0.262 0.949 0.413
Ag 0.329 0.210 0.717
Ag 0.329 0.290 0.217
Ag 0.334 0.544 0.776
Ag 0.334 0.956 0.276
Ag 0.666 0.044 0.724
Ag 0.666 0.456 0.224
Ag 0.671 0.710 0.783
Ag 0.671 0.790 0.283
Ag 0.738 0.051 0.587
Ag 0.738 0.449 0.087
Ag 0.930 0.680 0.923
Ag 0.930 0.820 0.423
P 0.002 0.147 0.719
P 0.002 0.353 0.219
P 0.010 0.144 0.436
P 0.010 0.356 0.936
P 0.228 0.028 0.127
P 0.228 0.472 0.627
P 0.228 0.633 0.449
P 0.228 0.867 0.949
P 0.367 0.618 0.254
P 0.367 0.882 0.754
P 0.379 0.212 0.366
P 0.379 0.288 0.866
P 0.414 0.129 0.581
P 0.414 0.371 0.081
P 0.586 0.629 0.919
P 0.586 0.871 0.419
P 0.621 0.712 0.134
P 0.621 0.788 0.634
P 0.633 0.118 0.246
P 0.633 0.382 0.746
P 0.772 0.133 0.051
P 0.772 0.367 0.551
P 0.772 0.528 0.373
P 0.772 0.972 0.873
P 0.990 0.644 0.064
P 0.990 0.856 0.564
P 0.998 0.647 0.781
P 0.998 0.853 0.281
O 0.039 0.240 0.482
O 0.039 0.260 0.982
O 0.086 0.018 0.444
O 0.086 0.482 0.944
O 0.096 0.071 0.087
O 0.096 0.429 0.587
O 0.115 0.135 0.690
O 0.115 0.365 0.190
O 0.132 0.584 0.807
O 0.132 0.916 0.307
O 0.173 0.737 0.927
O 0.173 0.763 0.427
O 0.193 0.582 0.500
O 0.193 0.918 0.000
O 0.260 0.078 0.186
O 0.260 0.422 0.686
O 0.307 0.157 0.611
O 0.307 0.343 0.111
O 0.322 0.176 0.306
O 0.322 0.324 0.806
O 0.335 0.144 0.412
O 0.335 0.356 0.912
O 0.431 0.001 0.738
O 0.431 0.499 0.238
O 0.439 0.621 0.885
O 0.439 0.879 0.385
O 0.450 0.738 0.271
O 0.450 0.762 0.771
O 0.550 0.238 0.229
O 0.550 0.262 0.729
O 0.561 0.121 0.615
O 0.561 0.379 0.115
O 0.569 0.501 0.762
O 0.569 0.999 0.262
O 0.665 0.644 0.088
O 0.665 0.856 0.588
O 0.678 0.676 0.194
O 0.678 0.824 0.694
O 0.693 0.657 0.889
O 0.693 0.843 0.389
O 0.740 0.578 0.314
O 0.740 0.922 0.814
O 0.807 0.082 0.000
O 0.807 0.418 0.500
O 0.827 0.237 0.573
O 0.827 0.263 0.073
O 0.868 0.084 0.693
O 0.868 0.416 0.193
O 0.885 0.635 0.810
O 0.885 0.865 0.310
O 0.904 0.571 0.413
O 0.904 0.929 0.913
O 0.914 0.518 0.056
O 0.914 0.982 0.556
O 0.961 0.740 0.018
O 0.961 0.760 0.518
F 0.020 0.707 0.271
F 0.020 0.793 0.771
F 0.022 0.210 0.381
F 0.022 0.290 0.881
F 0.057 0.103 0.781
F 0.057 0.397 0.281
F 0.146 0.608 0.082
F 0.146 0.892 0.582
F 0.188 0.535 0.400
F 0.188 0.965 0.900
F 0.234 0.621 0.629
F 0.234 0.879 0.129
F 0.237 0.658 0.207
F 0.237 0.842 0.707
F 0.296 0.583 0.301
F 0.296 0.917 0.801
F 0.350 0.056 0.101
F 0.350 0.444 0.601
F 0.358 0.142 0.874
F 0.358 0.358 0.374
F 0.378 0.002 0.546
F 0.378 0.498 0.046
F 0.387 0.633 0.461
F 0.387 0.867 0.961
F 0.400 0.224 0.532
F 0.400 0.276 0.032
F 0.460 0.709 0.120
F 0.460 0.791 0.620
F 0.540 0.209 0.380
F 0.540 0.291 0.880
F 0.600 0.724 0.968
F 0.600 0.776 0.468
F 0.613 0.133 0.039
F 0.613 0.367 0.539
F 0.622 0.502 0.954
F 0.622 0.998 0.454
F 0.642 0.642 0.626
F 0.642 0.858 0.126
F 0.650 0.556 0.399
F 0.650 0.944 0.899
F 0.704 0.083 0.199
F 0.704 0.417 0.699
F 0.763 0.158 0.293
F 0.763 0.342 0.793
F 0.766 0.121 0.871
F 0.766 0.379 0.371
F 0.812 0.035 0.100
F 0.812 0.465 0.600
F 0.854 0.108 0.418
F 0.854 0.392 0.918
F 0.943 0.603 0.719
F 0.943 0.897 0.219
F 0.978 0.710 0.119
F 0.978 0.790 0.619
F 0.980 0.207 0.229
F 0.980 0.293 0.729



VASP calculation (PBE) on a geometry-optimized Zr3Sn structure.

## Properties
Volume: 22.55 Å³ per atom
Energy of formation: -364 meV/atom

Lattice parameters (Å, degrees): 6.322 6.322 5.212 90.00 90.00 120.00
Atoms (fractional coordinates):
Zr 0.168 0.335 0.250
Zr 0.168 0.832 0.250
Zr 0.335 0.168 0.750
Zr 0.665 0.832 0.250
Zr 0.832 0.168 0.750
Zr 0.832 0.665 0.750
Sn 0.333 0.667 0.750
Sn 0.667 0.333 0.250